No. 1
## RbLiMg14O15 (PBE-GGA)

Data for RbLiMg14O15 after structural relaxation.

Properties
energy above the lowest structure with this stoichiometry: 0.035 eV/atom
corrected total energy (MP2020 scheme): -5.89 eV/atom
ΔE_f: -2682 meV/atom
VASP energy: -172.34 eV/cell

Cell: 4.1363 8.2895 10.1212 Å, 90.00 90.00 90.00°
With the nearest neighbours (Å) after each atom.
Space group Pmm2 (No. 25)
Inequivalent atoms, fractional coordinates:
Rb: 0.0000 0.0000 0.0000  5 O 2.44-2.70
Li: 0.0000 0.5000 0.9727  4 O 1.93-2.07
Mg: 0.0000 0.0000 0.4551  6 O 2.01-2.17
Mg: 0.0000 0.2310 0.7008  4 O 1.93-2.14
Mg: 0.0000 0.2479 0.2264  5 O 2.08-2.19
Mg: 0.0000 0.5000 0.4027  5 O 2.02-2.07
Mg: 0.5000 0.0000 0.2488  5 O 2.07-2.11
Mg: 0.5000 0.0000 0.6805  3 O 1.94-2.09
Mg: 0.5000 0.2487 0.9407  5 O 2.10-2.29
Mg: 0.5000 0.2704 0.4716  5 O 2.03-2.25
Mg: 0.5000 0.5000 0.1706  5 O 2.07-2.24
Mg: 0.5000 0.5000 0.7710  3 O 1.98-2.03
O: 0.0000 0.0000 0.2564  5 Mg 2.01-2.08
O: 0.0000 0.0000 0.6536  5 Mg 1.97-2.09
O: 0.0000 0.2616 0.4421  5 Mg 2.02-2.19
O: 0.0000 0.2935 0.8841  1 Mg 1.93, 1 Li 1.93
O: 0.0000 0.5000 0.2001  5 Mg 2.05-2.11
O: 0.5000 0.0000 0.4574  6 Mg 2.07-2.26
O: 0.5000 0.0000 0.8720  1 Mg 1.94
O: 0.5000 0.2301 0.1669  5 Mg 2.08-2.29
O: 0.5000 0.2877 0.6717  4 Mg 2.03-2.14
O: 0.5000 0.5000 0.4016  4 Mg 2.03-2.07
O: 0.5000 0.5000 0.9666  4 Mg 1.98-2.10, 2 Li 2.07

---

No. 2
## Nd3Se4 (PBE-GGA)

Data for Nd3Se4 after structural relaxation.

Properties
corrected total energy (MP2020 scheme): -6.16 eV/atom
ΔE_f: -2120 meV/atom
VASP energy: -164.95 eV/cell

Cell: 8.9527 8.9527 8.9527 Å, 90.00 90.00 90.00°
With the nearest neighbours (Å) after each atom.
Space group I-43d (No. 220)
Inequivalent atoms, fractional coordinates:
Nd: 0.0000 0.2500 0.3750  8 Se 3.02-3.18
Se: 0.0750 0.0750 0.0750  6 Nd 3.02-3.18

---

No. 3
## TbB6 (PBE-GGA)

Data for TbB6 after structural relaxation.

Properties
ΔE_f: -416 meV/atom
VASP energy: -47.62 eV/cell

Cell: 4.0998 4.0998 4.0998 Å, 90.00 90.00 90.00°
With the nearest neighbours (Å) after each atom.
Space group Pm-3m (No. 221)
Inequivalent atoms, fractional coordinates:
Tb: 0.0000 0.0000 0.0000  24 B 3.01
B: 0.1990 0.5000 0.5000  5 B 1.63-1.75

---

No. 4
## Dy2MgSe4 (PBE-GGA)

Data for Dy2MgSe4 after structural relaxation.

Properties
energy above the lowest structure with this stoichiometry: 0.082 eV/atom
corrected total energy (MP2020 scheme): -5.42 eV/atom
ΔE_f: -1879 meV/atom
VASP energy: -144.25 eV/cell

Cell: 8.5739 8.5739 8.9003 Å, 90.00 90.00 90.00°
With the nearest neighbours (Å) after each atom.
Space group I-42d (No. 122)
Inequivalent atoms, fractional coordinates:
Dy: 0.1316 0.2500 0.1250  6 Se 2.82-3.12
Mg: 0.0000 0.0000 0.5000  4 Se 2.73
Se: 0.0662 0.1955 0.8123  1 Mg 2.73, 2 Dy 2.82-2.88

---

No. 5
## LuHO2 (PBE-GGA)

Data for LuHO2 after structural relaxation.

Properties
corrected total energy (MP2020 scheme): -7.50 eV/atom
ΔE_f: -3048 meV/atom
VASP energy: -114.50 eV/cell

Cell: 5.8335 5.3830 5.8396 Å, 90.00 108.69 90.00°
With the nearest neighbours (Å) after each atom.
Space group P2_1/c (No. 14)
Inequivalent atoms, fractional coordinates:
Lu: 0.2341 0.0153 0.2463  6 O 2.16-2.34
H: 0.2776 0.5282 0.2322  1 O 1.03
O: 0.1326 0.1378 0.8730  1 H 1.62
O: 0.3664 0.6352 0.1414  1 H 1.03

---

No. 6
## ZnCu2Au (PBE-GGA)

Data for ZnCu2Au after structural relaxation.

Properties
ΔE_f: -5 meV/atom
VASP energy: -38.25 eV/cell

Cell: 2.7969 2.7969 25.5389 Å, 90.00 90.00 120.00°
With the nearest neighbours (Å) after each atom.
Space group R3m (No. 160, hexagonal axes)
Inequivalent atoms, fractional coordinates:
Zn: 0.0000 0.0000 0.0000  3 Cu 2.58, 6 Zn 2.80, 3 Au 2.83
Cu: 0.0000 0.0000 0.2548  9 Cu 2.53-2.80, 3 Zn 2.58
Cu: 0.0000 0.0000 0.5119  9 Cu 2.53-2.80, 3 Au 2.76
Au: 0.0000 0.0000 0.7575  3 Cu 2.76, 6 Au 2.80, 3 Zn 2.83

---

No. 7
## Ca14Al12Zn4O35 (PBE-GGA)

Data for Ca14Al12Zn4O35 after structural relaxation.

Properties
corrected total energy (MP2020 scheme): -7.03 eV/atom
ΔE_f: -3169 meV/atom
VASP energy: -1732.69 eV/cell

Cell: 15.0181 15.0181 15.0181 Å, 90.00 90.00 90.00°
With the nearest neighbours (Å) after each atom.
Space group F23 (No. 196)
Inequivalent atoms, fractional coordinates:
Ca: 0.0000 0.0000 0.2188  3 O 2.28-2.42
Ca: 0.1135 0.1135 0.6135  6 O 2.35-2.42
Ca: 0.1137 0.1137 0.3863  6 O 2.32-2.43
Al: 0.0000 0.0000 0.0000  4 O 1.78
Al: 0.0000 0.0000 0.5000  6 O 1.95
Al: 0.0059 0.2500 0.7500  4 O 1.78-1.83
Al: 0.1378 0.1378 0.8622  4 O 1.79-1.81
Zn: 0.1723 0.1723 0.1723  4 O 2.02-2.12
O: 0.0000 0.0000 0.3704  1 Al 1.95
O: 0.0555 0.2479 0.1487  1 Al 1.78
O: 0.0683 0.0683 0.9317  2 Al 1.78-1.81
O: 0.0767 0.1517 0.7607  2 Al 1.79-1.83
O: 0.2500 0.2500 0.2500  4 Zn 2.02

---

No. 8
## Mg7Si4 (PBE-GGA)

Data for Mg7Si4 after structural relaxation.

Properties
energy above the lowest structure with this stoichiometry: 0.073 eV/atom
corrected total energy (MP2020 scheme): -2.87 eV/atom
ΔE_f: 123 meV/atom
VASP energy: -63.67 eV/cell

Cell: 8.5128 3.5498 14.8280 Å, 90.00 92.26 90.00°
With the nearest neighbours (Å) after each atom.
Space group Pm (No. 6)
Inequivalent atoms, fractional coordinates:
Mg: 0.0000 0.0000 0.0000  2 Si 2.85, 3 Mg 3.14-3.17
Mg: 0.0099 0.5000 0.3521  4 Si 2.88-3.18, 6 Mg 2.91-3.21
Mg: 0.0603 0.0000 0.5317  2 Si 2.90-2.94, 8 Mg 3.07-3.21
Mg: 0.1346 0.0000 0.2004  3 Si 2.78-2.92, 6 Mg 3.04-3.09
Mg: 0.2919 0.5000 0.0641  9 Mg 3.04-3.33, 1 Si 3.17
Mg: 0.3587 0.5000 0.5375  4 Si 2.96-3.10, 5 Mg 3.10-3.17
Mg: 0.3830 0.0000 0.9075  4 Si 2.87-3.19, 6 Mg 3.05-3.11
Mg: 0.4551 0.5000 0.7465  5 Si 2.85-2.93, 5 Mg 3.00-3.17
Mg: 0.5475 0.0000 0.1579  4 Si 2.99-3.03, 6 Mg 3.10-3.25
Mg: 0.6341 0.0000 0.6233  2 Si 2.93-3.14, 8 Mg 2.96-3.17
Mg: 0.6547 0.5000 0.9876  1 Si 2.69
Mg: 0.7731 0.5000 0.4881  3 Si 2.75-2.78, 5 Mg 2.91-3.07
Mg: 0.8475 0.5000 0.1651  1 Si 2.84, 6 Mg 3.05-3.11
Mg: 0.9192 0.5000 0.6848  4 Si 2.70-2.97
Si: 0.1540 0.5000 0.8258  3 Si 2.43-2.44
Si: 0.1954 0.0000 0.7173  2 Si 2.43
Si: 0.2729 0.0000 0.3838  3 Si 2.45-2.50
Si: 0.3540 0.5000 0.2759  3 Si 2.50-2.52, 2 Mg 2.78
Si: 0.5577 0.0000 0.4147  3 Si 2.45-2.47
Si: 0.6453 0.5000 0.3126  3 Si 2.47-2.52
Si: 0.7041 0.0000 0.8184  2 Si 2.39
Si: 0.8778 0.5000 0.8644  3 Si 2.39-2.44

---

No. 9
## CsCdAuS2 (PBE-GGA)

Data for CsCdAuS2 after structural relaxation.

Properties
corrected total energy (MP2020 scheme): -3.59 eV/atom
ΔE_f: -920 meV/atom
VASP energy: -67.83 eV/cell

Cell: 6.8398 14.1946 6.2247 Å, 90.00 90.00 90.00°
With the nearest neighbours (Å) after each atom.
Space group Cmme (No. 67)
Inequivalent atoms, fractional coordinates:
Cs: 0.0000 0.2500 0.2305  8 S 3.62-4.01, 2 Au 3.83
Cd: 0.2500 0.0000 0.5000  4 S 2.62
Au: 0.0000 0.0000 0.0000  2 S 2.34
S: 0.0000 0.1052 0.7099  1 Au 2.34, 2 Cd 2.62

---

No. 10
## Lu2SO2 (PBE-GGA)

Data for Lu2SO2 after structural relaxation.

Properties
corrected total energy (MP2020 scheme): -8.24 eV/atom
ΔE_f: -3630 meV/atom
VASP energy: -39.35 eV/cell

Cell: 3.7044 3.7044 6.4852 Å, 90.00 90.00 120.00°
With the nearest neighbours (Å) after each atom.
Space group P-3m1 (No. 164)
Inequivalent atoms, fractional coordinates:
Lu: 0.3333 0.6667 0.2838  4 O 2.21-2.24
S: 0.0000 0.0000 0.0000  6 Lu 2.82
O: 0.3333 0.6667 0.6295  4 Lu 2.21-2.24

---

No. 11
## Al2Sn2O7 (PBE-GGA)

Data for Al2Sn2O7 after structural relaxation.

Properties
corrected total energy (MP2020 scheme): -6.72 eV/atom
ΔE_f: -2161 meV/atom
VASP energy: -552.85 eV/cell

Cell: 9.9402 9.9402 9.9402 Å, 90.00 90.00 90.00°
With the nearest neighbours (Å) after each atom.
Space group Fd-3m (No. 227, origin choice 2)
Inequivalent atoms, fractional coordinates:
Al: 0.0000 0.0000 0.0000  8 O 2.15-2.26
Sn: 0.0000 0.0000 0.5000  6 O 2.05
O: 0.1064 0.3750 0.8750  2 Sn 2.05, 2 Al 2.26
O: 0.1250 0.1250 0.1250  4 Al 2.15

---

No. 12
## Th2CuTc (PBE-GGA)

Data for Th2CuTc after structural relaxation.

Properties
ΔE_f: -79 meV/atom
VASP energy: -118.41 eV/cell

Cell: 7.1508 7.1508 7.1508 Å, 90.00 90.00 90.00°
With the nearest neighbours (Å) after each atom.
Space group Fm-3m (No. 225)
Inequivalent atoms, fractional coordinates:
Th: 0.2500 0.2500 0.2500  4 Tc 3.10, 4 Cu 3.10
Cu: 0.0000 0.0000 0.0000  8 Th 3.10
Tc: 0.0000 0.0000 0.5000  8 Th 3.10

---

No. 13
## Na4Al3Si3H3O14 (PBE-GGA)

Data for Na4Al3Si3H3O14 after structural relaxation.

Properties
corrected total energy (MP2020 scheme): -6.78 eV/atom
ΔE_f: -2622 meV/atom
VASP energy: -346.86 eV/cell

Cell: 9.1621 9.1483 9.3552 Å, 90.00 90.80 90.00°
With the nearest neighbours (Å) after each atom.
Space group P2 (No. 3)
Inequivalent atoms, fractional coordinates:
Na: 0.1901 0.0000 0.2237  4 O 2.37-2.63
Na: 0.1937 0.6202 0.7838  4 O 2.36-2.60
Na: 0.2288 0.0317 0.7538  4 O 2.37-2.47
Na: 0.2651 0.5352 0.2685  3 O 2.34-2.38, 2 H 2.40-2.54
Al: 0.0000 0.0626 0.5000  4 O 1.75-1.77
Al: 0.0000 0.5625 0.5000  4 O 1.75
Al: 0.2496 0.3086 0.0019  4 O 1.76-1.77
Al: 0.4942 0.8095 0.2480  4 O 1.75-1.76
Si: 0.0041 0.3132 0.2493  4 O 1.64-1.65
Si: 0.2532 0.8093 0.4966  4 O 1.63-1.65
Si: 0.5000 0.0600 0.0000  4 O 1.64
Si: 0.5000 0.5611 0.0000  4 O 1.64
H: 0.0520 0.8498 0.9006  1 O 0.97
H: 0.0972 0.6974 0.1200  1 H 0.76
H: 0.1463 0.6546 0.0700  1 H 0.76
O: 0.0341 0.1698 0.6538  1 Si 1.64, 1 Al 1.77
O: 0.0355 0.4590 0.3464  1 Si 1.64, 1 Al 1.75
O: 0.0588 0.8391 0.7978  1 H 0.97
O: 0.0687 0.0476 0.9898  1 O 1.28
O: 0.1337 0.3533 0.8567  1 Si 1.64, 1 Al 1.76
O: 0.1564 0.2789 0.1643  1 Si 1.65, 1 Al 1.77
O: 0.1575 0.9582 0.4708  1 Si 1.64, 1 Al 1.75
O: 0.1603 0.6617 0.5329  1 Si 1.63, 1 Al 1.75
O: 0.3347 0.7726 0.3445  1 Si 1.65, 1 Al 1.76
O: 0.3568 0.1573 0.9533  1 Si 1.64, 1 Al 1.76
O: 0.3572 0.4636 0.0420  1 Si 1.64, 1 Al 1.76
O: 0.3626 0.8439 0.6316  1 Si 1.63, 1 Al 1.75
O: 0.4545 0.9615 0.1394  1 Si 1.64, 1 Al 1.76
O: 0.4564 0.6580 0.8576  1 Si 1.64, 1 Al 1.76

---

No. 14
## YFeCo (PBE-GGA)

Data for YFeCo after structural relaxation.

Properties
ΔE_f: -144 meV/atom
VASP energy: -89.91 eV/cell

Cell: 5.1022 5.2488 7.1568 Å, 90.00 90.00 90.00°
With the nearest neighbours (Å) after each atom.
Space group Imma (No. 74)
Inequivalent atoms, fractional coordinates:
Y: 0.0000 0.2500 0.1256  6 Fe 2.98-3.05, 6 Co 2.98-3.01, 4 Y 3.11-3.18
Fe: 0.2500 0.2500 0.7500  2 Fe 2.55, 4 Co 2.56
Co: 0.0000 0.0000 0.5000  4 Fe 2.56, 2 Co 2.62

---

No. 15
## Mn2ZnAs2 (PBE-GGA)

Data for Mn2ZnAs2 after structural relaxation.

Properties
ΔE_f: 85 meV/atom
VASP energy: -28.48 eV/cell

Cell: 3.9585 3.9585 6.4184 Å, 90.00 90.00 120.00°
With the nearest neighbours (Å) after each atom.
Space group P-3m1 (No. 164)
Inequivalent atoms, fractional coordinates:
Mn: 0.3333 0.6667 0.3775  4 As 2.43-2.44
Zn: 0.0000 0.0000 0.0000  6 As 2.77
As: 0.3333 0.6667 0.7563  4 Mn 2.43-2.44

---

No. 16
## LiCu6OF11 (PBE-GGA)

Data for LiCu6OF11 after structural relaxation.

Properties
energy above the lowest structure with this stoichiometry: 0.013 eV/atom
corrected total energy (MP2020 scheme): -4.55 eV/atom
ΔE_f: -1790 meV/atom
VASP energy: -80.75 eV/cell

Cell: 4.8294 5.4159 8.4063 Å, 85.06 86.86 87.40°
With the nearest neighbours (Å) after each atom.
Space group P1 (No. 1)
Inequivalent atoms, fractional coordinates:
Li: 0.0000 0.0000 0.0000  5 F 1.91-2.09, 1 O 1.95
Cu: 0.0034 0.9966 0.4953  4 F 1.92-1.94
Cu: 0.0147 0.3636 0.1857  4 F 1.88-1.98
Cu: 0.4958 0.5010 0.5048  5 F 1.96-2.14
Cu: 0.5034 0.1171 0.8258  1 O 1.90, 3 F 2.00-2.03
Cu: 0.5196 0.8339 0.1499  1 O 1.95, 4 F 2.01-2.10
Cu: 0.9570 0.6279 0.8285  3 F 1.92-2.01, 1 O 1.92
O: 0.6820 0.8355 0.9319  3 Cu 1.90-1.95, 1 Li 1.95
F: 0.1745 0.9271 0.7805  2 Cu 1.97-2.00, 1 Li 2.05
F: 0.1811 0.6651 0.0937  2 Cu 1.93-2.01, 1 Li 2.09
F: 0.2105 0.2867 0.4260  2 Cu 1.93-2.02
F: 0.2842 0.4272 0.7443  3 Cu 2.01-2.22
F: 0.2957 0.1648 0.0815  1 Li 1.91, 2 Cu 1.92-2.10
F: 0.3046 0.7979 0.4043  2 Cu 1.93-1.97
F: 0.7028 0.5346 0.2724  2 Cu 1.88-2.04
F: 0.7074 0.2015 0.5826  2 Cu 1.92-1.96
F: 0.7931 0.3213 0.9063  2 Cu 1.92-2.00, 1 Li 2.08
F: 0.7936 0.7114 0.5778  2 Cu 1.94-2.03
F: 0.8185 0.0495 0.2212  2 Cu 1.98-2.04, 1 Li 2.05